Mg14VW: optimized geometry, GGA-PBE.

Cell: 6.2740 6.0979 10.0127 Å, 90.00 90.00 119.08°
Last column: nearest neighbours and their distance in Å.
Atoms (fractional coordinates):
Mg: 0.1676 0.3338 0.6250  12 Mg 3.05-3.17
Mg: 0.1663 0.8332 0.6250  12 Mg 3.05-3.15
Mg: 0.6640 0.3322 0.1250  8 Mg 3.01-3.06, 2 W 3.10-3.17, 2 V 3.13-3.14
Mg: 0.6637 0.3324 0.6250  12 Mg 3.04-3.21
Mg: 0.6640 0.8318 0.1250  8 Mg 3.01-3.06, 2 W 3.10-3.17, 2 V 3.13-3.14
Mg: 0.6637 0.8313 0.6250  12 Mg 3.04-3.21
Mg: 0.3271 0.1598 0.3623  1 W 2.96, 1 V 2.97, 10 Mg 3.00-3.25
Mg: 0.3271 0.1598 0.8877  1 W 2.96, 1 V 2.97, 10 Mg 3.00-3.25
Mg: 0.3271 0.6672 0.3623  1 W 2.96, 1 V 2.97, 10 Mg 3.00-3.25
Mg: 0.3271 0.6672 0.8877  1 W 2.96, 1 V 2.97, 10 Mg 3.00-3.25
Mg: 0.8438 0.1719 0.3714  1 V 3.02, 11 Mg 3.05-3.21
Mg: 0.8438 0.1719 0.8786  1 V 3.02, 11 Mg 3.05-3.21
Mg: 0.8477 0.6738 0.3668  1 W 2.96, 11 Mg 3.03-3.25
Mg: 0.8477 0.6738 0.8832  1 W 2.96, 11 Mg 3.03-3.25
V: 0.1628 0.3314 0.1250  10 Mg 2.97-3.14, 2 W 3.05
W: 0.1566 0.8283 0.1250  10 Mg 2.96-3.17, 2 V 3.05

Output
- Excess energy over the best structure of this formula in the dataset: 0.0 meV/atom
- ΔH_f (0 K): 0.1981 eV per atom

***

Mg6VW: optimized geometry, GGA-PBE.

Cell: 6.1539 6.1539 4.9132 Å, 90.00 90.00 123.69°
Last column: nearest neighbours and their distance in Å.
Atoms (fractional coordinates):
Mg: 0.3274 0.1712 0.5000  8 Mg 2.90-3.06, 2 V 3.05-3.10, 2 W 3.06-3.10
Mg: 0.8288 0.6726 0.5000  8 Mg 2.90-3.06, 2 V 3.05-3.10, 2 W 3.06-3.10
Mg: 0.1699 0.3430 0.0000  6 Mg 2.83-3.04, 2 W 2.99, 2 V 3.01
Mg: 0.6570 0.8301 0.0000  6 Mg 2.83-3.04, 2 W 2.99, 2 V 3.01
Mg: 0.6796 0.3204 0.0000  10 Mg 2.90-3.22, 2 V 2.95
Mg: 0.1809 0.8191 0.0000  8 Mg 2.89-3.06, 2 W 2.92
V: 0.8303 0.1697 0.5000  2 W 2.90, 10 Mg 2.95-3.10
W: 0.3261 0.6739 0.5000  2 V 2.90, 10 Mg 2.92-3.10

Output
- Excess energy over the best structure of this formula in the dataset: 83.4 meV/atom
- ΔH_f (0 K): 0.3891 eV per atom

***

Mg14VW: optimized geometry, GGA-PBE.

Cell: 6.2406 6.2406 9.9798 Å, 90.00 90.00 120.00°
Last column: nearest neighbours and their distance in Å.
Atoms (fractional coordinates):
Mg: 0.1690 0.8345 0.1250  10 Mg 3.09-3.14, 2 V 3.12
Mg: 0.1684 0.8342 0.6250  10 Mg 3.06-3.14, 2 W 3.12
Mg: 0.6655 0.3310 0.1250  10 Mg 3.09-3.14, 2 V 3.12
Mg: 0.6658 0.3316 0.6250  10 Mg 3.06-3.14, 2 W 3.12
Mg: 0.6655 0.8345 0.1250  10 Mg 3.09-3.14, 2 V 3.12
Mg: 0.6658 0.8342 0.6250  10 Mg 3.06-3.14, 2 W 3.12
Mg: 0.3261 0.1739 0.3794  10 Mg 2.98-3.26, 1 W 3.00, 1 V 3.07
Mg: 0.3261 0.1739 0.8706  10 Mg 2.98-3.26, 1 W 3.00, 1 V 3.07
Mg: 0.3261 0.6522 0.3794  10 Mg 2.98-3.26, 1 W 3.00, 1 V 3.07
Mg: 0.3261 0.6522 0.8706  10 Mg 2.98-3.26, 1 W 3.00, 1 V 3.07
Mg: 0.8478 0.1739 0.3794  10 Mg 2.98-3.26, 1 W 3.00, 1 V 3.07
Mg: 0.8478 0.1739 0.8706  10 Mg 2.98-3.26, 1 W 3.00, 1 V 3.07
Mg: 0.8333 0.6667 0.3751  12 Mg 3.08-3.12
Mg: 0.8333 0.6667 0.8749  12 Mg 3.08-3.12
V: 0.1667 0.3333 0.1250  12 Mg 3.07-3.12
W: 0.1667 0.3333 0.6250  12 Mg 3.00-3.12

Output
- Excess energy over the best structure of this formula in the dataset: 32.2 meV/atom
- ΔH_f (0 K): 0.2304 eV per atom

***

Mg6VW: optimized geometry, GGA-PBE.

Cell: 4.7354 5.9725 10.9709 Å, 90.00 90.00 90.00°
Last column: nearest neighbours and their distance in Å.
Atoms (fractional coordinates):
Mg: 0.0000 0.7390 0.0788  8 Mg 2.86-3.17, 1 V 2.86, 2 W 3.03
Mg: 0.0000 0.2610 0.0788  8 Mg 2.86-3.17, 1 V 2.86, 2 W 3.03
Mg: 0.0000 0.0000 0.3302  10 Mg 2.95-3.17, 2 V 3.00
Mg: 0.5000 0.2586 0.4227  8 Mg 2.88-3.18, 1 W 2.90, 2 V 3.06
Mg: 0.5000 0.7414 0.4227  8 Mg 2.88-3.18, 1 W 2.90, 2 V 3.06
Mg: 0.5000 0.0000 0.1696  10 Mg 2.95-3.18, 2 W 3.00
Mg: 0.0000 0.2390 0.5788  8 Mg 2.86-3.17, 1 V 2.86, 2 W 3.03
Mg: 0.0000 0.7610 0.5788  8 Mg 2.86-3.17, 1 V 2.86, 2 W 3.03
Mg: 0.0000 0.5000 0.8302  10 Mg 2.95-3.17, 2 V 3.00
Mg: 0.5000 0.7586 0.9227  8 Mg 2.88-3.18, 1 W 2.90, 2 V 3.06
Mg: 0.5000 0.2414 0.9227  8 Mg 2.88-3.18, 1 W 2.90, 2 V 3.06
Mg: 0.5000 0.5000 0.6696  10 Mg 2.95-3.18, 2 W 3.00
V: 0.0000 0.5000 0.3043  2 W 2.66, 2 Mg 2.86
V: 0.0000 0.0000 0.8043  2 W 2.66, 2 Mg 2.86
W: 0.5000 0.5000 0.1929  2 V 2.66, 2 Mg 2.90
W: 0.5000 0.0000 0.6929  2 V 2.66, 2 Mg 2.90

Output
- Excess energy over the best structure of this formula in the dataset: 0.0 meV/atom
- ΔH_f (0 K): 0.3057 eV per atom

***

Mg6VZn: optimized geometry, GGA-PBE.

Cell: 4.9463 6.1166 10.7748 Å, 90.00 90.00 90.00°
Last column: nearest neighbours and their distance in Å.
Atoms (fractional coordinates):
Mg: 0.5000 0.2530 0.4175  8 Mg 3.02-3.10, 2 Zn 3.06-3.13, 2 V 3.09-3.11
Mg: 0.5000 0.7470 0.4175  8 Mg 3.02-3.10, 2 Zn 3.06-3.13, 2 V 3.09-3.11
Mg: 0.0000 0.7459 0.0876  8 Mg 2.99-3.21, 2 V 3.02, 2 Zn 3.04
Mg: 0.0000 0.2541 0.0876  8 Mg 2.99-3.21, 2 V 3.02, 2 Zn 3.04
Mg: 0.0000 0.0000 0.3298  10 Mg 3.04-3.16, 2 Zn 3.04
Mg: 0.0000 0.5000 0.3273  10 Mg 2.99-3.21, 2 V 3.01
Mg: 0.5000 0.7530 0.9175  8 Mg 3.02-3.10, 2 Zn 3.06-3.13, 2 V 3.09-3.11
Mg: 0.5000 0.2470 0.9175  8 Mg 3.02-3.10, 2 Zn 3.06-3.13, 2 V 3.09-3.11
Mg: 0.0000 0.2459 0.5876  8 Mg 2.99-3.21, 2 V 3.02, 2 Zn 3.04
Mg: 0.0000 0.7541 0.5876  8 Mg 2.99-3.21, 2 V 3.02, 2 Zn 3.04
Mg: 0.0000 0.5000 0.8298  10 Mg 3.04-3.16, 2 Zn 3.04
Mg: 0.0000 0.0000 0.8273  10 Mg 2.99-3.21, 2 V 3.01
V: 0.5000 0.5000 0.1677  10 Mg 3.01-3.11, 2 Zn 3.06
V: 0.5000 0.0000 0.6677  10 Mg 3.01-3.11, 2 Zn 3.06
Zn: 0.5000 0.0000 0.1650  10 Mg 3.04-3.13, 2 V 3.06
Zn: 0.5000 0.5000 0.6650  10 Mg 3.04-3.13, 2 V 3.06

Output
- Excess energy over the best structure of this formula in the dataset: 2.5 meV/atom
- ΔH_f (0 K): 0.1413 eV per atom

***

Mg6VZn: optimized geometry, GGA-PBE.

Cell: 4.9361 6.2029 10.6766 Å, 90.00 90.00 90.00°
Last column: nearest neighbours and their distance in Å.
Atoms (fractional coordinates):
Mg: 0.0000 0.2594 0.0886  2 Zn 2.92-3.26, 8 Mg 2.98-3.22, 2 V 3.01
Mg: 0.0000 0.7406 0.0886  2 Zn 2.92-3.26, 8 Mg 2.98-3.22, 2 V 3.01
Mg: 0.0000 0.5000 0.8332  10 Mg 3.05-3.11, 2 Zn 3.10
Mg: 0.5000 0.2425 0.9156  8 Mg 3.01-3.19, 2 V 3.03-3.15, 2 Zn 3.05
Mg: 0.5000 0.7575 0.9156  8 Mg 3.01-3.19, 2 V 3.03-3.15, 2 Zn 3.05
Mg: 0.5000 0.5000 0.6654  10 Mg 3.05-3.11, 2 V 3.10
Mg: 0.0000 0.7594 0.5886  2 Zn 2.92-3.26, 8 Mg 2.98-3.22, 2 V 3.01
Mg: 0.0000 0.2406 0.5886  2 Zn 2.92-3.26, 8 Mg 2.98-3.22, 2 V 3.01
Mg: 0.0000 0.0000 0.3332  10 Mg 3.05-3.11, 2 Zn 3.10
Mg: 0.5000 0.7425 0.4156  8 Mg 3.01-3.19, 2 V 3.03-3.15, 2 Zn 3.05
Mg: 0.5000 0.2575 0.4156  8 Mg 3.01-3.19, 2 V 3.03-3.15, 2 Zn 3.05
Mg: 0.5000 0.0000 0.1654  10 Mg 3.05-3.11, 2 V 3.10
V: 0.5000 0.5000 0.1697  2 Zn 2.96, 10 Mg 3.01-3.15
V: 0.5000 0.0000 0.6697  2 Zn 2.96, 10 Mg 3.01-3.15
Zn: 0.0000 0.5000 0.3233  10 Mg 2.92-3.26, 2 V 2.96
Zn: 0.0000 0.0000 0.8233  10 Mg 2.92-3.26, 2 V 2.96

Output
- Excess energy over the best structure of this formula in the dataset: 0.0 meV/atom
- ΔH_f (0 K): 0.1388 eV per atom